Record 1
Entry from the Materials Project: crystalline MgSi2 at its relaxed geometry (PBE).

E above lowest polymorph in kcal/mol of atoms: 2.41
ΔE_f in eV/atom: 0.182
E in eV/atom: -4.0154

abc: 4.5399 5.1262 9.6252
angles: 87.82 89.01 65.27
Fractional coordinates of all 12 atoms:
Mg  0.0969  0.2979  0.8887
Mg  0.9031  0.7021  0.1113
Mg  0.7499  0.9968  0.3910
Mg  0.2501  0.0032  0.6090
Si  0.6070  0.2959  0.0910
Si  0.3930  0.7041  0.9090
Si  0.5336  0.4177  0.6984
Si  0.0636  0.3766  0.3766
Si  0.7823  0.9375  0.8257
Si  0.2177  0.0625  0.1743
Si  0.4664  0.5823  0.3016
Si  0.9364  0.6234  0.6234



Record 2
Entry from the Materials Project: crystalline PuSi6H54C18N3 at its relaxed geometry (PBE).

ΔE_f in eV/atom: -0.268
E in eV/atom: -5.3912

abc: 16.3926 16.3926 9.4720
angles: 90.00 90.00 120.00
Fractional coordinates of all 164 atoms:
Pu  0.3333  0.6667  0.3034
Pu  0.6667  0.3333  0.8034
Si  0.1702  0.7139  0.1198
Si  0.2844  0.8308  0.3782
Si  0.1692  0.4537  0.3782
Si  0.2861  0.4563  0.1198
Si  0.5437  0.8298  0.1198
Si  0.5463  0.7156  0.3782
Si  0.4563  0.2861  0.6198
Si  0.4537  0.1692  0.8782
Si  0.7156  0.5463  0.8782
Si  0.8298  0.5437  0.6198
Si  0.7139  0.1702  0.6198
Si  0.8308  0.2844  0.8782
H  0.0075  0.6279  0.6197
H  0.0357  0.6916  0.2725
H  0.1364  0.8386  0.4287
H  0.1204  0.7823  0.9312
H  0.1621  0.8630  0.0737
H  0.0385  0.5850  0.2613
H  0.1440  0.7572  0.5439
H  0.2172  0.8803  0.5709
H  0.2435  0.8561  0.9569
H  0.0089  0.3803  0.8799
H  0.0386  0.4536  0.2390
H  0.1243  0.6205  0.9056
H  0.3090  0.9656  0.2270
H  0.0344  0.3434  0.2270
H  0.1257  0.5028  0.5913
H  0.1717  0.6027  0.4820
H  0.3714  0.9911  0.8799
H  0.1729  0.5703  0.0205
H  0.2483  0.6744  0.9234
H  0.4150  0.9614  0.2390
H  0.3771  0.8743  0.5913
H  0.3259  0.7517  0.5794
H  0.2483  0.5743  0.5794
H  0.1197  0.3369  0.5709
H  0.1439  0.3874  0.9569
H  0.3974  0.8271  0.0205
H  0.1370  0.2991  0.0737
H  0.1614  0.2978  0.4287
H  0.4310  0.8283  0.4820
H  0.2428  0.3869  0.5439
H  0.2177  0.3382  0.9312
H  0.3256  0.5739  0.9234
H  0.4261  0.7517  0.9234
H  0.4962  0.8757  0.9056
H  0.5465  0.9615  0.2613
H  0.4257  0.6741  0.5794
H  0.3973  0.5690  0.4820
H  0.6203  0.9925  0.6197
H  0.4297  0.6026  0.0205
H  0.3795  0.5038  0.9056
H  0.3084  0.3440  0.2725
H  0.6560  0.9643  0.2725
H  0.4972  0.6229  0.5913
H  0.4150  0.4535  0.2613
H  0.3721  0.3797  0.6197
H  0.3797  0.3721  0.1197
H  0.6131  0.8560  0.5439
H  0.3440  0.3084  0.7725
H  0.6618  0.8796  0.9312
H  0.2978  0.1614  0.9287
H  0.3382  0.2177  0.4312
H  0.6126  0.7565  0.9569
H  0.2991  0.1370  0.5737
H  0.4535  0.4150  0.7613
H  0.5464  0.5850  0.2390
H  0.7022  0.8636  0.4287
H  0.3869  0.2428  0.0439
H  0.6631  0.7828  0.5709
H  0.7009  0.8379  0.0737
H  0.3369  0.1197  0.0709
H  0.6566  0.6910  0.2270
H  0.3874  0.1439  0.4569
H  0.6197  0.6286  0.8799
H  0.6286  0.6197  0.3799
H  0.5850  0.5464  0.7390
H  0.5038  0.3795  0.4056
H  0.3434  0.0344  0.7270
H  0.6910  0.6566  0.7270
H  0.6229  0.4972  0.0913
H  0.5690  0.3973  0.9820
H  0.3803  0.0089  0.3799
H  0.6026  0.4297  0.5205
H  0.5739  0.3256  0.4234
H  0.4536  0.0386  0.7390
H  0.5028  0.1257  0.0913
H  0.5743  0.2483  0.0794
H  0.6741  0.4257  0.0794
H  0.7828  0.6631  0.0709
H  0.7565  0.6126  0.4569
H  0.5703  0.1729  0.5205
H  0.8379  0.7009  0.5737
H  0.8636  0.7022  0.9287
H  0.6027  0.1717  0.9820
H  0.8560  0.6131  0.0439
H  0.8796  0.6618  0.4312
H  0.7517  0.4261  0.4234
H  0.6744  0.2483  0.4234
H  0.6205  0.1243  0.4056
H  0.5850  0.0385  0.7613
H  0.7517  0.3259  0.0794
H  0.8283  0.4310  0.9820
H  0.6279  0.0075  0.1197
H  0.8271  0.3974  0.5205
H  0.8757  0.4962  0.4056
H  0.9643  0.6560  0.7725
H  0.6916  0.0357  0.7725
H  0.8743  0.3771  0.0913
H  0.9615  0.5465  0.7613
H  0.9925  0.6203  0.1197
H  0.7572  0.1440  0.0439
H  0.7823  0.1204  0.4312
H  0.8561  0.2435  0.4569
H  0.9614  0.4150  0.7390
H  0.8386  0.1364  0.9287
H  0.8803  0.2172  0.0709
H  0.8630  0.1621  0.5737
H  0.9656  0.3090  0.7270
H  0.9911  0.3714  0.3799
C  0.0483  0.6464  0.2006
C  0.1759  0.8144  0.0125
C  0.1854  0.8251  0.4891
C  0.0472  0.4011  0.2995
C  0.1814  0.6370  0.9813
C  0.3539  0.9528  0.2995
C  0.1831  0.5450  0.5165
C  0.3619  0.8169  0.5165
C  0.1749  0.3604  0.4891
C  0.1856  0.3615  0.0125
C  0.4556  0.8186  0.9813
C  0.3630  0.5444  0.9813
C  0.5982  0.9517  0.2006
C  0.4550  0.6381  0.5165
C  0.3536  0.4018  0.2006
C  0.4018  0.3536  0.7006
C  0.6385  0.8241  0.0125
C  0.6396  0.8146  0.4891
C  0.3615  0.1856  0.5125
C  0.3604  0.1749  0.9891
C  0.5989  0.6461  0.2995
C  0.6461  0.5989  0.7995
C  0.5444  0.3630  0.4813
C  0.4011  0.0472  0.7995
C  0.6381  0.4550  0.0165
C  0.5450  0.1831  0.0165
C  0.8146  0.6396  0.9891
C  0.8241  0.6385  0.5125
C  0.6370  0.1814  0.4813
C  0.8186  0.4556  0.4813
C  0.6464  0.0483  0.7006
C  0.8169  0.3619  0.0165
C  0.9517  0.5982  0.7006
C  0.8144  0.1759  0.5125
C  0.8251  0.1854  0.9891
C  0.9528  0.3539  0.7995
N  0.2543  0.7445  0.2510
N  0.2555  0.5098  0.2510
N  0.4902  0.7457  0.2510
N  0.5098  0.2555  0.7510
N  0.7457  0.4902  0.7510
N  0.7445  0.2543  0.7510



Record 3
Entry from the Materials Project: crystalline BiPO4 at its relaxed geometry (PBE).

ΔE_f in eV/atom: -2.311
E in eV/atom: -6.7023

abc: 9.6140 9.6140 18.1872
angles: 67.20 67.20 34.58
Fractional coordinates of all 48 atoms:
Bi  0.6014  0.7070  0.9982
Bi  0.2930  0.3986  0.5018
Bi  0.3986  0.2930  0.0018
Bi  0.0000  0.0000  0.0000
Bi  0.7070  0.6014  0.4982
Bi  0.6814  0.3186  0.7500
Bi  0.3186  0.6814  0.2500
Bi  0.0000  0.0000  0.5000
P  0.4176  0.4502  0.1232
P  0.8366  0.8827  0.4010
P  0.5824  0.5498  0.8768
P  0.8827  0.8366  0.9010
P  0.4502  0.4176  0.6232
P  0.5498  0.5824  0.3768
P  0.1634  0.1173  0.5990
P  0.1173  0.1634  0.0990
O  0.7909  0.3914  0.9277
O  0.3648  0.0539  0.0830
O  0.3914  0.7909  0.4277
O  0.9398  0.8407  0.4679
O  0.3633  0.8068  0.9077
O  0.9387  0.9173  0.3170
O  0.1593  0.0602  0.0321
O  0.1083  0.5523  0.9151
O  0.0602  0.1593  0.5321
O  0.9461  0.6352  0.4170
O  0.5164  0.4324  0.8978
O  0.4511  0.3339  0.7137
O  0.6352  0.9461  0.9170
O  0.5523  0.1083  0.4151
O  0.2091  0.6086  0.0723
O  0.4836  0.5676  0.1022
O  0.3339  0.4511  0.2137
O  0.8407  0.9398  0.9679
O  0.4324  0.5164  0.3978
O  0.5489  0.6661  0.2863
O  0.4477  0.8917  0.5849
O  0.8068  0.3633  0.4077
O  0.8917  0.4477  0.0849
O  0.9173  0.9387  0.8170
O  0.0539  0.3648  0.5830
O  0.6086  0.2091  0.5723
O  0.6661  0.5489  0.7863
O  0.1932  0.6367  0.5923
O  0.6367  0.1932  0.0923
O  0.0827  0.0613  0.1830
O  0.0613  0.0827  0.6830
O  0.5676  0.4836  0.6022



Record 4
Entry from the Materials Project: crystalline RbGdS2 at its relaxed geometry (PBE).

ΔE_f in eV/atom: -2.097
E in eV/atom: -7.6783

abc: 4.1338 4.1338 8.0434
angles: 75.11 75.11 60.00
Fractional coordinates of all 4 atoms:
Rb  0.0000  0.0000  0.0000
Gd  0.5000  0.5000  0.5000
S  0.7691  0.7691  0.6927
S  0.2309  0.2309  0.3073



Record 5
Entry from the Materials Project: crystalline CePt5 at its relaxed geometry (PBE).

ΔE_f in eV/atom: -0.697
E in eV/atom: -6.7449

abc: 4.4561 5.3848 5.3848
angles: 120.00 90.00 90.00
Fractional coordinates of all 6 atoms:
Ce  0.0000  0.0000  0.0000
Pt  0.0000  0.3333  0.6667
Pt  0.0000  0.6667  0.3333
Pt  0.5000  0.0000  0.5000
Pt  0.5000  0.5000  0.5000
Pt  0.5000  0.5000  0.0000



Record 6
Entry from the Materials Project: crystalline CaP2Xe5F22 at its relaxed geometry (PBE).

ΔE_f in eV/atom: -2.003
E in eV/atom: -3.5021

abc: 8.6205 14.9745 17.6878
angles: 90.00 90.00 90.00
Fractional coordinates of all 120 atoms:
Ca  0.7318  0.3306  0.5856
Ca  0.2318  0.1694  0.0856
Ca  0.2682  0.6694  0.0856
Ca  0.7682  0.8306  0.5856
P  0.9960  0.0218  0.9722
P  0.4960  0.4782  0.4722
P  0.0040  0.9782  0.4722
P  0.5040  0.5218  0.9722
P  0.0068  0.5068  0.2154
P  0.5068  0.9932  0.7154
P  0.4932  0.0068  0.2154
P  0.9932  0.4932  0.7154
Xe  0.7295  0.2329  0.8086
Xe  0.2857  0.2778  0.8774
Xe  0.2295  0.2671  0.3086
Xe  0.2705  0.7671  0.3086
Xe  0.5037  0.0141  0.4653
Xe  0.2490  0.2460  0.5924
Xe  0.7705  0.7329  0.8086
Xe  0.2510  0.7460  0.5924
Xe  0.0057  0.0218  0.7195
Xe  0.5057  0.4782  0.2195
Xe  0.7490  0.2540  0.0924
Xe  0.4943  0.5218  0.7195
Xe  0.7857  0.2222  0.3774
Xe  0.9963  0.5141  0.4653
Xe  0.0037  0.4859  0.9653
Xe  0.9943  0.9782  0.2195
Xe  0.7143  0.7222  0.3774
Xe  0.4963  0.9859  0.9653
Xe  0.2143  0.7778  0.8774
Xe  0.7510  0.7540  0.0924
F  0.9179  0.8578  0.2597
F  0.0941  0.6353  0.4408
F  0.2278  0.2839  0.9936
F  0.1297  0.9556  0.4064
F  0.2062  0.7515  0.1944
F  0.3924  0.1111  0.9893
F  0.6479  0.7240  0.2666
F  0.7062  0.7485  0.6944
F  0.8924  0.3889  0.4893
F  0.8806  0.4701  0.1541
F  0.9584  0.8696  0.4785
F  0.9571  0.9162  0.9691
F  0.1357  0.9632  0.5372
F  0.9904  0.7543  0.0828
F  0.8688  0.9907  0.4084
F  0.4247  0.6026  0.1789
F  0.3723  0.5047  0.0398
F  0.9172  0.4274  0.6466
F  0.6277  0.0713  0.6899
F  0.7722  0.7161  0.4936
F  0.4172  0.0726  0.1466
F  0.5086  0.7577  0.1018
F  0.8639  0.4537  0.7742
F  0.3723  0.9287  0.1899
F  0.1479  0.7760  0.7666
F  0.8896  0.5880  0.2379
F  0.6277  0.4953  0.5398
F  0.3521  0.2760  0.7666
F  0.5096  0.2543  0.0828
F  0.5657  0.9432  0.2812
F  0.0429  0.0838  0.4691
F  0.1613  0.2860  0.4183
F  0.4343  0.0568  0.7812
F  0.5941  0.8647  0.9408
F  0.1076  0.6111  0.9893
F  0.4571  0.5838  0.4691
F  0.4584  0.6304  0.9785
F  0.6361  0.9537  0.7742
F  0.3806  0.0299  0.6541
F  0.3639  0.0463  0.2742
F  0.5416  0.3696  0.4785
F  0.6104  0.0880  0.2379
F  0.1104  0.4120  0.7379
F  0.6076  0.8889  0.4893
F  0.7278  0.2161  0.4936
F  0.4179  0.6422  0.7597
F  0.8643  0.0368  0.0372
F  0.6613  0.2140  0.9183
F  0.9343  0.4432  0.2812
F  0.9247  0.8974  0.6789
F  0.4914  0.2423  0.6018
F  0.1312  0.0093  0.9084
F  0.8723  0.9953  0.5398
F  0.8521  0.2240  0.2666
F  0.6194  0.9701  0.1541
F  0.1194  0.5299  0.6541
F  0.1277  0.0047  0.0398
F  0.6297  0.5444  0.9064
F  0.0086  0.7423  0.6018
F  0.5753  0.3974  0.6789
F  0.1277  0.4287  0.1899
F  0.0753  0.1026  0.1789
F  0.8703  0.0444  0.9064
F  0.0821  0.1422  0.7597
F  0.3703  0.4556  0.4064
F  0.6357  0.5368  0.0372
F  0.3688  0.5093  0.9084
F  0.6312  0.4907  0.4084
F  0.4059  0.1353  0.4408
F  0.9914  0.2577  0.1018
F  0.0828  0.5726  0.1466
F  0.5828  0.9274  0.6466
F  0.4904  0.7457  0.5828
F  0.3387  0.7860  0.4183
F  0.0096  0.2457  0.5828
F  0.2938  0.2515  0.1944
F  0.2722  0.7839  0.9936
F  0.0657  0.5568  0.7812
F  0.5821  0.3578  0.2597
F  0.8387  0.7140  0.9183
F  0.9059  0.3647  0.9408
F  0.8723  0.5713  0.6899
F  0.7938  0.2485  0.6944
F  0.3896  0.9120  0.7379
F  0.1361  0.5463  0.2742
F  0.5429  0.4162  0.9691
F  0.3643  0.4632  0.5372
F  0.0416  0.1304  0.9785



Record 7
Entry from the Materials Project: crystalline LuGaO3 at its relaxed geometry (PBE).

ΔE_f in eV/atom: -2.753
E in eV/atom: -6.8190

abc: 3.8058 3.8058 3.8058
angles: 90.00 90.00 90.00
Fractional coordinates of all 5 atoms:
Lu  0.0000  0.0000  0.0000
Ga  0.5000  0.5000  0.5000
O  0.5000  0.5000  0.0000
O  0.5000  0.0000  0.5000
O  0.0000  0.5000  0.5000



Repeat the third record exactly.
Entry from the Materials Project: crystalline BiPO4 at its relaxed geometry (PBE).

ΔE_f in eV/atom: -2.311
E in eV/atom: -6.7023

abc: 9.6140 9.6140 18.1872
angles: 67.20 67.20 34.58
Fractional coordinates of all 48 atoms:
Bi  0.6014  0.7070  0.9982
Bi  0.2930  0.3986  0.5018
Bi  0.3986  0.2930  0.0018
Bi  0.0000  0.0000  0.0000
Bi  0.7070  0.6014  0.4982
Bi  0.6814  0.3186  0.7500
Bi  0.3186  0.6814  0.2500
Bi  0.0000  0.0000  0.5000
P  0.4176  0.4502  0.1232
P  0.8366  0.8827  0.4010
P  0.5824  0.5498  0.8768
P  0.8827  0.8366  0.9010
P  0.4502  0.4176  0.6232
P  0.5498  0.5824  0.3768
P  0.1634  0.1173  0.5990
P  0.1173  0.1634  0.0990
O  0.7909  0.3914  0.9277
O  0.3648  0.0539  0.0830
O  0.3914  0.7909  0.4277
O  0.9398  0.8407  0.4679
O  0.3633  0.8068  0.9077
O  0.9387  0.9173  0.3170
O  0.1593  0.0602  0.0321
O  0.1083  0.5523  0.9151
O  0.0602  0.1593  0.5321
O  0.9461  0.6352  0.4170
O  0.5164  0.4324  0.8978
O  0.4511  0.3339  0.7137
O  0.6352  0.9461  0.9170
O  0.5523  0.1083  0.4151
O  0.2091  0.6086  0.0723
O  0.4836  0.5676  0.1022
O  0.3339  0.4511  0.2137
O  0.8407  0.9398  0.9679
O  0.4324  0.5164  0.3978
O  0.5489  0.6661  0.2863
O  0.4477  0.8917  0.5849
O  0.8068  0.3633  0.4077
O  0.8917  0.4477  0.0849
O  0.9173  0.9387  0.8170
O  0.0539  0.3648  0.5830
O  0.6086  0.2091  0.5723
O  0.6661  0.5489  0.7863
O  0.1932  0.6367  0.5923
O  0.6367  0.1932  0.0923
O  0.0827  0.0613  0.1830
O  0.0613  0.0827  0.6830
O  0.5676  0.4836  0.6022